# Np2Tc4O23

A relaxed structure of Np2Tc4O23 (PBE, the Materials Project).

Cell lengths 5.6501, 13.3683, 15.3965 Å; angles 106.58, 97.59, 93.11 degrees
Closest atoms and distances in Å follow each position.
Atoms (fractional coordinates):
Np 0.2467 0.1485 0.1720  2 O 1.77
Np 0.2483 0.7024 0.3131  5 O 1.79-1.90
Np 0.7517 0.2976 0.6869  5 O 1.79-1.90
Np 0.7533 0.8515 0.8280  2 O 1.77
Tc 0.0125 0.6448 0.6295  4 O 1.71-1.84
Tc 0.0131 0.0034 0.3473  4 O 1.71-1.80
Tc 0.4021 0.4304 0.1311  4 O 1.71-1.79
Tc 0.4894 0.8664 0.0645  4 O 1.71-1.78
Tc 0.5106 0.1336 0.9355  4 O 1.71-1.78
Tc 0.5979 0.5696 0.8689  4 O 1.71-1.79
Tc 0.9869 0.9966 0.6527  4 O 1.71-1.80
Tc 0.9875 0.3552 0.3705  4 O 1.71-1.84
O 0.0139 0.3482 0.6508  1 Np 1.81
O 0.0385 0.8782 0.8980  1 Np 1.77
O 0.0797 0.6864 0.2022  1 Np 1.79
O 0.0841 0.8733 0.3203  1 Tc 1.75
O 0.1059 0.7225 0.5664  1 Tc 1.72
O 0.1080 0.0656 0.2665  1 Tc 1.80
O 0.1174 0.2717 0.2748  1 Tc 1.84
O 0.1577 0.0691 0.4549  1 Tc 1.71
O 0.2010 0.4516 0.4385  1 Tc 1.71
O 0.2515 0.5884 0.6705  1 Tc 1.72
O 0.2657 0.1386 0.8589  1 Tc 1.71
O 0.2655 0.4417 0.0290  1 Tc 1.71
O 0.2894 0.9939 0.6536  1 Tc 1.71
O 0.2950 0.5449 0.8622  1 Tc 1.71
O 0.3012 0.5226 0.2221  1 Tc 1.76
O 0.3181 0.9678 0.1171  1 Tc 1.78
O 0.3207 0.7478 0.0321  1 Tc 1.71
O 0.3269 0.3004 0.1364  1 Tc 1.79
O 0.3386 0.7961 0.4306  1 Np 1.87
O 0.4086 0.1116 0.0330  1 Tc 1.77
O 0.4476 0.6348 0.3838  1 Np 1.90
O 0.4607 0.8315 0.7640  1 Np 1.77
O 0.4889 0.2483 0.7238  1 Np 1.82
O 0.5111 0.7517 0.2762  1 Np 1.82
O 0.5393 0.1685 0.2360  1 Np 1.77
O 0.5524 0.3652 0.6162  1 Np 1.90
O 0.5914 0.8884 0.9670  1 Tc 1.77
O 0.6614 0.2039 0.5694  1 Np 1.87
O 0.6731 0.6996 0.8636  1 Tc 1.79
O 0.6793 0.2522 0.9679  1 Tc 1.71
O 0.6819 0.0322 0.8829  1 Tc 1.78
O 0.6988 0.4774 0.7779  1 Tc 1.76
O 0.7050 0.4551 0.1378  1 Tc 1.71
O 0.7106 0.0061 0.3464  1 Tc 1.71
O 0.7345 0.5583 0.9710  1 Tc 1.71
O 0.7343 0.8614 0.1411  1 Tc 1.71
O 0.7485 0.4116 0.3295  1 Tc 1.72
O 0.7990 0.5484 0.5615  1 Tc 1.71
O 0.8423 0.9309 0.5451  1 Tc 1.71
O 0.8826 0.7283 0.7252  1 Tc 1.84
O 0.8920 0.9344 0.7335  1 Tc 1.80
O 0.8941 0.2775 0.4336  1 Tc 1.72
O 0.9159 0.1267 0.6797  1 Tc 1.75
O 0.9203 0.3136 0.7978  1 Np 1.79
O 0.9615 0.1218 0.1020  1 Np 1.77
O 0.9861 0.6518 0.3492  1 Np 1.81

- E (MP2020): -476.2 eV/cell
- ΔH_f (0 K): -56.94 eV/f.u.
- SG: P-1, No. 2
- Mass density: 3.73 Mg/m³

# LiEr6Ta2O14

A relaxed structure of LiEr6Ta2O14 (PBE, the Materials Project).

Cell lengths 6.4066, 6.4066, 7.5634 Å; angles 90.46, 90.46, 109.69 degrees
Closest atoms and distances in Å follow each position.
Atoms (fractional coordinates):
Li 0.0000 0.0000 0.0000  4 O 1.96-1.98
Er 0.1881 0.2546 0.7308  6 O 2.19-2.44
Er 0.2337 0.7663 0.5000  6 O 2.31-2.54
Er 0.2570 0.7430 0.0000  4 O 2.27-2.40
Er 0.3011 0.2763 0.2521  5 O 2.18-2.34
Er 0.7237 0.6989 0.7479  5 O 2.18-2.34
Er 0.7454 0.8119 0.2692  6 O 2.19-2.44
Ta 0.7307 0.2693 0.0000  6 O 1.96-2.09
Ta 0.7398 0.2602 0.5000  6 O 1.98-2.07
O 0.0665 0.3262 0.4606  1 Ta 2.02
O 0.0703 0.3208 0.0250  1 Li 1.96, 1 Ta 2.09
O 0.0767 0.8851 0.7748  1 Li 1.98, 1 Er 2.18
O 0.1149 0.9233 0.2252  1 Li 1.98, 1 Er 2.18
O 0.3501 0.6153 0.7427  4 Er 2.19-2.31
O 0.3847 0.6499 0.2573  4 Er 2.19-2.31
O 0.3994 0.1718 0.5283  1 Ta 2.07, 1 Er 2.23
O 0.4121 0.1956 0.9569  1 Ta 1.96
O 0.6539 0.1895 0.2489  2 Ta 1.98
O 0.6738 0.9335 0.5394  1 Ta 2.02
O 0.6792 0.9297 0.9750  1 Li 1.96, 1 Ta 2.09
O 0.8044 0.5879 0.0431  1 Ta 1.96
O 0.8105 0.3461 0.7511  2 Ta 1.98
O 0.8282 0.6006 0.4717  1 Ta 2.07, 1 Er 2.23

- E (MP2020): -205.9 eV/cell
- Energy above the lowest structure with this stoichiometry: 0.048 eV per atom
- ΔH_f (0 K): -83.58 eV/f.u.
- SG: C2, No. 5
- Mass density: 9.07 Mg/m³

# Li3Ho3Te2O12

A relaxed structure of Li3Ho3Te2O12 (PBE, the Materials Project).

Cell lengths 10.7204, 10.7204, 10.7204 Å; angles 109.47, 109.47, 109.47 degrees
Closest atoms and distances in Å follow each position.
Atoms (fractional coordinates):
Li 0.1250 0.7500 0.8750  4 O 1.89
Li 0.1250 0.8750 0.2500  4 O 1.89
Li 0.2500 0.1250 0.8750  4 O 1.89
Li 0.2500 0.6250 0.3750  4 O 1.89
Li 0.3750 0.2500 0.6250  4 O 1.89
Li 0.3750 0.6250 0.7500  4 O 1.89
Li 0.6250 0.3750 0.2500  4 O 1.89
Li 0.6250 0.7500 0.3750  4 O 1.89
Li 0.7500 0.3750 0.6250  4 O 1.89
Li 0.7500 0.8750 0.1250  4 O 1.89
Li 0.8750 0.1250 0.7500  4 O 1.89
Li 0.8750 0.2500 0.1250  4 O 1.89
Ho 0.1250 0.2500 0.3750  8 O 2.36-2.47
Ho 0.1250 0.3750 0.7500  8 O 2.36-2.47
Ho 0.2500 0.3750 0.1250  8 O 2.36-2.47
Ho 0.2500 0.8750 0.6250  8 O 2.36-2.47
Ho 0.3750 0.1250 0.2500  8 O 2.36-2.47
Ho 0.3750 0.7500 0.1250  8 O 2.36-2.47
Ho 0.6250 0.2500 0.8750  8 O 2.36-2.47
Ho 0.6250 0.8750 0.7500  8 O 2.36-2.47
Ho 0.7500 0.1250 0.3750  8 O 2.36-2.47
Ho 0.7500 0.6250 0.8750  8 O 2.36-2.47
Ho 0.8750 0.6250 0.2500  8 O 2.36-2.47
Ho 0.8750 0.7500 0.6250  8 O 2.36-2.47
Te 0.0000 0.0000 0.0000  6 O 1.96
Te 0.0000 0.0000 0.5000  6 O 1.96
Te 0.0000 0.5000 0.0000  6 O 1.96
Te 0.0000 0.5000 0.5000  6 O 1.96
Te 0.5000 0.0000 0.0000  6 O 1.96
Te 0.5000 0.0000 0.5000  6 O 1.96
Te 0.5000 0.5000 0.0000  6 O 1.96
Te 0.5000 0.5000 0.5000  6 O 1.96
O 0.0276 0.1998 0.1207  1 Li 1.89, 1 Te 1.96
O 0.0276 0.3278 0.9069  1 Li 1.89, 1 Te 1.96
O 0.0791 0.6998 0.6722  1 Li 1.89, 1 Te 1.96
O 0.0791 0.8793 0.4069  1 Li 1.89, 1 Te 1.96
O 0.0931 0.6207 0.4209  1 Li 1.89, 1 Te 1.96
O 0.0931 0.9724 0.6722  1 Li 1.89, 1 Te 1.96
O 0.1207 0.0276 0.1998  1 Li 1.89, 1 Te 1.96
O 0.1207 0.5931 0.9209  1 Li 1.89, 1 Te 1.96
O 0.1722 0.1998 0.5791  1 Li 1.89, 1 Te 1.96
O 0.1722 0.4724 0.5931  1 Li 1.89, 1 Te 1.96
O 0.1998 0.1207 0.0276  1 Li 1.89, 1 Te 1.96
O 0.1998 0.5791 0.1722  1 Li 1.89, 1 Te 1.96
O 0.3002 0.3278 0.9209  1 Li 1.89, 1 Te 1.96
O 0.3002 0.4724 0.3793  1 Li 1.89, 1 Te 1.96
O 0.3278 0.9069 0.0276  1 Li 1.89, 1 Te 1.96
O 0.3278 0.9209 0.3002  1 Li 1.89, 1 Te 1.96
O 0.3793 0.3002 0.4724  1 Li 1.89, 1 Te 1.96
O 0.3793 0.5791 0.9069  1 Li 1.89, 1 Te 1.96
O 0.4069 0.0791 0.8793  1 Li 1.89, 1 Te 1.96
O 0.4069 0.8278 0.5276  1 Li 1.89, 1 Te 1.96
O 0.4209 0.0931 0.6207  1 Li 1.89, 1 Te 1.96
O 0.4209 0.8278 0.8002  1 Li 1.89, 1 Te 1.96
O 0.4724 0.3793 0.3002  1 Li 1.89, 1 Te 1.96
O 0.4724 0.5931 0.1722  1 Li 1.89, 1 Te 1.96
O 0.5276 0.4069 0.8278  1 Li 1.89, 1 Te 1.96
O 0.5276 0.6207 0.6998  1 Li 1.89, 1 Te 1.96
O 0.5791 0.1722 0.1998  1 Li 1.89, 1 Te 1.96
O 0.5791 0.9069 0.3793  1 Li 1.89, 1 Te 1.96
O 0.5931 0.1722 0.4724  1 Li 1.89, 1 Te 1.96
O 0.5931 0.9209 0.1207  1 Li 1.89, 1 Te 1.96
O 0.6207 0.4209 0.0931  1 Li 1.89, 1 Te 1.96
O 0.6207 0.6998 0.5276  1 Li 1.89, 1 Te 1.96
O 0.6722 0.0791 0.6998  1 Li 1.89, 1 Te 1.96
O 0.6722 0.0931 0.9724  1 Li 1.89, 1 Te 1.96
O 0.6998 0.5276 0.6207  1 Li 1.89, 1 Te 1.96
O 0.6998 0.6722 0.0791  1 Li 1.89, 1 Te 1.96
O 0.8002 0.4209 0.8278  1 Li 1.89, 1 Te 1.96
O 0.8002 0.8793 0.9724  1 Li 1.89, 1 Te 1.96
O 0.8278 0.5276 0.4069  1 Li 1.89, 1 Te 1.96
O 0.8278 0.8002 0.4209  1 Li 1.89, 1 Te 1.96
O 0.8793 0.4069 0.0791  1 Li 1.89, 1 Te 1.96
O 0.8793 0.9724 0.8002  1 Li 1.89, 1 Te 1.96
O 0.9069 0.0276 0.3278  1 Li 1.89, 1 Te 1.96
O 0.9069 0.3793 0.5791  1 Li 1.89, 1 Te 1.96
O 0.9209 0.1207 0.5931  1 Li 1.89, 1 Te 1.96
O 0.9209 0.3002 0.3278  1 Li 1.89, 1 Te 1.96
O 0.9724 0.6722 0.0931  1 Li 1.89, 1 Te 1.96
O 0.9724 0.8002 0.8793  1 Li 1.89, 1 Te 1.96

- E (MP2020): -562.6 eV/cell
- ΔH_f (0 K): -55.51 eV/f.u.
- SG: Ia-3d, No. 230
- Mass density: 6.74 Mg/m³

# Mg3MnH7

A relaxed structure of Mg3MnH7 (PBE, the Materials Project).

Cell lengths 4.6749, 4.6749, 10.2712 Å; angles 90.00, 90.00, 120.00 degrees
Closest atoms and distances in Å follow each position.
Atoms (fractional coordinates):
Mg 0.0000 0.0000 0.2500  6 H 2.08
Mg 0.0000 0.0000 0.7500  6 H 2.08
Mg 0.3333 0.6667 0.0662  1 H 1.89
Mg 0.3333 0.6667 0.4338  1 H 1.89
Mg 0.6667 0.3333 0.5662  1 H 1.89
Mg 0.6667 0.3333 0.9338  1 H 1.89
Mn 0.0000 0.0000 0.0000  6 H 1.63
Mn 0.0000 0.0000 0.5000  6 H 1.63
H 0.1631 0.3261 0.5931  1 Mn 1.63
H 0.1631 0.3261 0.9069  1 Mn 1.63
H 0.1631 0.8369 0.5931  1 Mn 1.63
H 0.1631 0.8369 0.9069  1 Mn 1.63
H 0.3261 0.1631 0.0931  1 Mn 1.63
H 0.3261 0.1631 0.4069  1 Mn 1.63
H 0.3333 0.6667 0.2500  2 Mg 1.89
H 0.6667 0.3333 0.7500  2 Mg 1.89
H 0.6739 0.8369 0.5931  1 Mn 1.63
H 0.6739 0.8369 0.9069  1 Mn 1.63
H 0.8369 0.1631 0.0931  1 Mn 1.63
H 0.8369 0.1631 0.4069  1 Mn 1.63
H 0.8369 0.6739 0.0931  1 Mn 1.63
H 0.8369 0.6739 0.4069  1 Mn 1.63

- E (MP2020): -83.2 eV/cell
- ΔH_f (0 K): -3.91 eV/f.u.
- SG: P6_3/mmc, No. 194
- Mass density: 2.30 Mg/m³

# U2Mo2C3

A relaxed structure of U2Mo2C3 (PBE, the Materials Project).

Cell lengths 11.9105, 3.1603, 5.5777 Å; angles 90.00, 111.87, 90.00 degrees
Closest atoms and distances in Å follow each position.
Atoms (fractional coordinates):
U 0.1026 0.0000 0.3086  5 C 2.40-2.47
U 0.3974 0.5000 0.6914  5 C 2.40-2.47
U 0.6026 0.5000 0.3086  5 C 2.40-2.47
U 0.8974 0.0000 0.6914  5 C 2.40-2.47
Mo 0.1542 0.5000 0.8363  4 C 2.08-2.20
Mo 0.3458 0.0000 0.1637  4 C 2.08-2.20
Mo 0.6542 0.0000 0.8363  4 C 2.08-2.20
Mo 0.8458 0.5000 0.1637  4 C 2.08-2.20
C 0.0000 0.5000 0.5000  2 Mo 2.08
C 0.2500 0.0000 0.7418  3 Mo 2.13-2.20
C 0.2500 0.5000 0.2582  3 Mo 2.13-2.20
C 0.5000 0.0000 0.5000  2 Mo 2.08
C 0.7500 0.0000 0.2582  3 Mo 2.13-2.20
C 0.7500 0.5000 0.7418  3 Mo 2.13-2.20

- Energy above the lowest structure with this stoichiometry: 0.000 eV per atom
- ΔH_f (0 K): -1.43 eV/f.u.
- SG: C2/m, No. 12
- Mass density: 12.00 Mg/m³